The following is a PBE calculation of GeI2 after structural relaxation, from Materials Project.

Values from the calculation:
space-group type	P-3m1, No. 164
ΔE_f	-594	meV/atom

```
data_GeI2
_space_group_name_H-M_alt 'P 1'
_space_group_IT_number 1
_cell_length_a 4.3074
_cell_length_b 4.3074
_cell_length_c 24.6120
_cell_angle_alpha 90.00
_cell_angle_beta 90.00
_cell_angle_gamma 120.00
loop_
_space_group_symop_operation_xyz
'x,y,z'
loop_
_atom_site_label
_atom_site_type_symbol
_atom_site_fract_x
_atom_site_fract_y
_atom_site_fract_z
Ge1 Ge 0.0000 0.0000 0.0000
Ge2 Ge 0.3333 0.6667 0.3314
Ge3 Ge 0.6667 0.3333 0.6686
I1 I 0.0000 0.0000 0.2608
I2 I 0.0000 0.0000 0.7392
I3 I 0.3333 0.6667 0.0706
I4 I 0.3333 0.6667 0.5979
I5 I 0.6667 0.3333 0.4021
I6 I 0.6667 0.3333 0.9294
```

The following is a PBE calculation of GeI2 after structural relaxation, from Materials Project.

Values from the calculation:
maximum piezoelectric response	1.22	C/m2
space-group type	P-6m2, No. 187
ΔE_f	-475	meV/atom

```
data_GeI2
_space_group_name_H-M_alt 'P 1'
_space_group_IT_number 1
_cell_length_a 4.1614
_cell_length_b 4.1614
_cell_length_c 8.5642
_cell_angle_alpha 90.00
_cell_angle_beta 90.00
_cell_angle_gamma 120.00
loop_
_space_group_symop_operation_xyz
'x,y,z'
loop_
_atom_site_label
_atom_site_type_symbol
_atom_site_fract_x
_atom_site_fract_y
_atom_site_fract_z
Ge1 Ge 0.0000 0.0000 0.0000
I1 I 0.3333 0.6667 0.2241
I2 I 0.3333 0.6667 0.7759
```

The following is a PBE calculation of GeI2 after structural relaxation, from Materials Project.

Values from the calculation:
space-group type	P-3m1, No. 164
ΔE_f	-594	meV/atom

```
data_GeI2
_space_group_name_H-M_alt 'P 1'
_space_group_IT_number 1
_cell_length_a 4.3046
_cell_length_b 4.3046
_cell_length_c 23.3704
_cell_angle_alpha 90.00
_cell_angle_beta 90.00
_cell_angle_gamma 120.00
loop_
_space_group_symop_operation_xyz
'x,y,z'
loop_
_atom_site_label
_atom_site_type_symbol
_atom_site_fract_x
_atom_site_fract_y
_atom_site_fract_z
Ge1 Ge 0.0000 0.0000 0.0000
Ge2 Ge 0.3333 0.6667 0.3321
Ge3 Ge 0.6667 0.3333 0.6679
I1 I 0.0000 0.0000 0.2575
I2 I 0.0000 0.0000 0.7425
I3 I 0.3333 0.6667 0.0746
I4 I 0.3333 0.6667 0.5932
I5 I 0.6667 0.3333 0.4068
I6 I 0.6667 0.3333 0.9254
```

The following is a PBE calculation of GeI4 after structural relaxation, from Materials Project.

Values from the calculation:
space-group type	Pa-3, No. 205
ΔE_f	-586	meV/atom

```
data_GeI4
_space_group_name_H-M_alt 'P 1'
_space_group_IT_number 1
_cell_length_a 12.9258
_cell_length_b 12.9258
_cell_length_c 12.9258
_cell_angle_alpha 90.00
_cell_angle_beta 90.00
_cell_angle_gamma 90.00
loop_
_space_group_symop_operation_xyz
'x,y,z'
loop_
_atom_site_label
_atom_site_type_symbol
_atom_site_fract_x
_atom_site_fract_y
_atom_site_fract_z
Ge1 Ge 0.1307 0.1307 0.1307
Ge2 Ge 0.1307 0.3693 0.6307
Ge3 Ge 0.3693 0.6307 0.1307
Ge4 Ge 0.3693 0.8693 0.6307
Ge5 Ge 0.6307 0.1307 0.3693
Ge6 Ge 0.6307 0.3693 0.8693
Ge7 Ge 0.8693 0.6307 0.3693
Ge8 Ge 0.8693 0.8693 0.8693
I1 I 0.0106 0.2447 0.0242
I2 I 0.0106 0.2553 0.5242
I3 I 0.0242 0.0106 0.2447
I4 I 0.0242 0.4894 0.7447
I5 I 0.2441 0.2441 0.2441
I6 I 0.2441 0.2559 0.7441
I7 I 0.2447 0.0242 0.0106
I8 I 0.2447 0.4758 0.5106
I9 I 0.2553 0.5242 0.0106
I10 I 0.2553 0.9758 0.5106
I11 I 0.2559 0.7441 0.2441
I12 I 0.2559 0.7559 0.7441
I13 I 0.4758 0.5106 0.2447
I14 I 0.4758 0.9894 0.7447
I15 I 0.4894 0.7447 0.0242
I16 I 0.4894 0.7553 0.5242
I17 I 0.5106 0.2447 0.4758
I18 I 0.5106 0.2553 0.9758
I19 I 0.5242 0.0106 0.2553
I20 I 0.5242 0.4894 0.7553
I21 I 0.7441 0.2441 0.2559
I22 I 0.7441 0.2559 0.7559
I23 I 0.7447 0.0242 0.4894
I24 I 0.7447 0.4758 0.9894
I25 I 0.7553 0.5242 0.4894
I26 I 0.7553 0.9758 0.9894
I27 I 0.7559 0.7441 0.2559
I28 I 0.7559 0.7559 0.7559
I29 I 0.9758 0.5106 0.2553
I30 I 0.9758 0.9894 0.7553
I31 I 0.9894 0.7447 0.4758
I32 I 0.9894 0.7553 0.9758
```

What corrected total energy (MP2020 scheme) values result from the calculations? In sequence: -28.36 -9.10 -28.36 -109.20 eV/cell.